This record from the Materials Project describes a relaxed structure of Fe10O11F9. The functional is PBE with a Hubbard U.

a = 4.728 Å, b = 4.739 Å, c = 15.384 Å
α = 89.85°, β = 89.67°, γ = 88.84°
Positions (direct):
1 Fe 0.000 0.000 0.000
2 Fe 0.003 0.001 0.798
3 Fe 0.417 0.505 0.898
4 Fe 0.429 0.479 0.696
5 Fe 0.432 0.485 0.101
6 Fe 0.440 0.470 0.306
7 Fe 0.502 0.531 0.493
8 Fe 0.931 0.039 0.598
9 Fe 0.941 0.051 0.200
10 Fe 0.966 0.000 0.399
11 O 0.140 0.188 0.303
12 O 0.141 0.198 0.101
13 O 0.144 0.193 0.696
14 O 0.157 0.187 0.899
15 O 0.267 0.685 0.795
16 O 0.268 0.687 0.002
17 O 0.268 0.704 0.399
18 O 0.628 0.318 0.201
19 O 0.645 0.333 0.597
20 O 0.668 0.303 0.399
21 O 0.784 0.829 0.497
22 F 0.163 0.215 0.500
23 F 0.239 0.704 0.201
24 F 0.258 0.717 0.596
25 F 0.656 0.293 0.799
26 F 0.656 0.294 0.999
27 F 0.753 0.806 0.297
28 F 0.754 0.807 0.101
29 F 0.755 0.810 0.698
30 F 0.765 0.795 0.899

Values from the calculation:
**Excess energy over the best structure of this formula in the dataset**: 0.001 eV/atom
**Symmetry**: P1
**Uncorrected energy**: -6.032 eV per atom

***

This record from the Materials Project describes a relaxed structure of Fe4O7F. The functional is PBE with a Hubbard U.

a = 4.616 Å, b = 4.616 Å, c = 12.057 Å
α = 90.00°, β = 90.00°, γ = 91.85°
Positions (direct):
1 Fe 0.000 0.000 0.000
2 Fe 0.000 0.000 0.500
3 Fe 0.022 0.978 0.750
4 Fe 0.495 0.505 0.621
5 Fe 0.495 0.505 0.879
6 Fe 0.505 0.495 0.121
7 Fe 0.505 0.495 0.379
8 Fe 0.978 0.022 0.250
9 O 0.188 0.197 0.125
10 O 0.188 0.197 0.375
11 O 0.197 0.188 0.625
12 O 0.197 0.188 0.875
13 O 0.305 0.695 0.003
14 O 0.305 0.695 0.497
15 O 0.321 0.679 0.750
16 O 0.679 0.321 0.250
17 O 0.695 0.305 0.503
18 O 0.695 0.305 0.997
19 O 0.803 0.812 0.125
20 O 0.803 0.812 0.375
21 O 0.812 0.803 0.625
22 O 0.812 0.803 0.875
23 F 0.296 0.704 0.250
24 F 0.704 0.296 0.750

Values from the calculation:
**Excess energy over the best structure of this formula in the dataset**: 0.006 eV/atom
**Symmetry**: Cmcm
**Uncorrected energy**: -6.137 eV per atom

***

This record from the Materials Project describes a relaxed structure of Fe3O5F. The functional is PBE with a Hubbard U.

a = 5.550 Å, b = 5.550 Å, c = 7.304 Å
α = 109.12°, β = 109.12°, γ = 70.70°
Positions (direct):
1 Fe 0.000 0.000 0.000
2 Fe 0.000 0.000 0.500
3 Fe 0.330 0.330 0.336
4 Fe 0.348 0.348 0.829
5 Fe 0.652 0.652 0.171
6 Fe 0.670 0.670 0.664
7 O 0.030 0.646 0.831
8 O 0.228 0.228 0.542
9 O 0.305 0.695 0.500
10 O 0.354 0.970 0.169
11 O 0.425 0.425 0.121
12 O 0.575 0.575 0.879
13 O 0.646 0.030 0.831
14 O 0.695 0.305 0.500
15 O 0.772 0.772 0.458
16 O 0.970 0.354 0.169
17 F 0.106 0.106 0.802
18 F 0.894 0.894 0.198

Values from the calculation:
**Excess energy over the best structure of this formula in the dataset**: 0.014 eV/atom
**Symmetry**: C2/m
**Uncorrected energy**: -6.117 eV per atom

***

This record from the Materials Project describes a relaxed structure of Fe6O7F5. The functional is PBE with a Hubbard U.

a = 4.695 Å, b = 5.617 Å, c = 7.774 Å
α = 85.08°, β = 88.09°, γ = 87.68°
Positions (direct):
1 Fe 0.000 0.000 0.000
2 Fe 0.003 0.341 0.650
3 Fe 0.466 0.169 0.310
4 Fe 0.470 0.524 0.006
5 Fe 0.511 0.854 0.684
6 Fe 0.984 0.683 0.339
7 O 0.178 0.049 0.761
8 O 0.186 0.389 0.424
9 O 0.186 0.714 0.120
10 O 0.296 0.220 0.091
11 O 0.679 0.800 0.904
12 O 0.793 0.966 0.240
13 O 0.798 0.649 0.561
14 F 0.289 0.547 0.767
15 F 0.298 0.885 0.443
16 F 0.677 0.152 0.559
17 F 0.693 0.465 0.227
18 F 0.784 0.313 0.890

Values from the calculation:
**Excess energy over the best structure of this formula in the dataset**: 0.023 eV/atom
**Symmetry**: P1
**Uncorrected energy**: -6.024 eV per atom

***

This record from the Materials Project describes a relaxed structure of Fe3O5F. The functional is PBE with a Hubbard U.

a = 5.515 Å, b = 5.549 Å, c = 7.081 Å
α = 73.45°, β = 72.94°, γ = 74.69°
Positions (direct):
1 Fe 0.000 0.000 0.000
2 Fe 0.000 0.000 0.500
3 Fe 0.305 0.360 0.167
4 Fe 0.336 0.345 0.660
5 Fe 0.664 0.655 0.340
6 Fe 0.695 0.640 0.833
7 O 0.011 0.656 0.165
8 O 0.093 0.109 0.203
9 O 0.225 0.237 0.462
10 O 0.311 0.698 0.494
11 O 0.438 0.435 0.873
12 O 0.562 0.565 0.127
13 O 0.689 0.302 0.506
14 O 0.775 0.763 0.538
15 O 0.907 0.891 0.797
16 O 0.989 0.344 0.835
17 F 0.375 0.965 0.831
18 F 0.625 0.035 0.169

Values from the calculation:
**Excess energy over the best structure of this formula in the dataset**: 0.001 eV/atom
**Symmetry**: P-1
**Uncorrected energy**: -6.129 eV per atom

***

This record from the Materials Project describes a relaxed structure of Fe3O2F4. The functional is PBE with a Hubbard U.

a = 5.721 Å, b = 5.721 Å, c = 7.243 Å
α = 107.12°, β = 107.12°, γ = 75.94°
Positions (direct):
1 Fe 0.000 0.000 0.000
2 Fe 0.000 0.000 0.500
3 Fe 0.332 0.332 0.338
4 Fe 0.353 0.353 0.828
5 Fe 0.647 0.647 0.172
6 Fe 0.668 0.668 0.662
7 O 0.227 0.227 0.536
8 O 0.424 0.424 0.126
9 O 0.576 0.576 0.874
10 O 0.773 0.773 0.464
11 F 0.038 0.630 0.829
12 F 0.105 0.105 0.800
13 F 0.293 0.707 0.500
14 F 0.370 0.962 0.171
15 F 0.630 0.038 0.829
16 F 0.707 0.293 0.500
17 F 0.895 0.895 0.200
18 F 0.962 0.370 0.171

Values from the calculation:
**Excess energy over the best structure of this formula in the dataset**: 0.032 eV/atom
**Symmetry**: C2/m
**Uncorrected energy**: -5.829 eV per atom

***

This record from the Materials Project describes a relaxed structure of Fe4O7F. The functional is PBE with a Hubbard U.

a = 6.003 Å, b = 4.647 Å, c = 9.266 Å
α = 90.00°, β = 90.40°, γ = 90.00°
Positions (direct):
1 Fe 0.118 0.000 0.379
2 Fe 0.123 0.021 0.871
3 Fe 0.368 0.505 0.618
4 Fe 0.374 0.543 0.118
5 Fe 0.626 0.043 0.882
6 Fe 0.632 0.005 0.382
7 Fe 0.877 0.521 0.129
8 Fe 0.882 0.500 0.621
9 O 0.123 0.697 0.720
10 O 0.126 0.341 0.030
11 O 0.127 0.302 0.523
12 O 0.128 0.714 0.222
13 O 0.374 0.820 0.469
14 O 0.375 0.844 0.967
15 O 0.376 0.212 0.779
16 O 0.624 0.712 0.221
17 O 0.625 0.344 0.033
18 O 0.626 0.320 0.531
19 O 0.872 0.214 0.778
20 O 0.873 0.802 0.477
21 O 0.874 0.841 0.970
22 O 0.877 0.197 0.280
23 F 0.378 0.213 0.276
24 F 0.622 0.713 0.724

Values from the calculation:
**Excess energy over the best structure of this formula in the dataset**: 0.007 eV/atom
**Symmetry**: P2_1
**Uncorrected energy**: -6.136 eV per atom

***

This record from the Materials Project describes a relaxed structure of Fe4OF7. The functional is PBE with a Hubbard U.

a = 5.813 Å, b = 4.806 Å, c = 10.913 Å
α = 90.00°, β = 98.01°, γ = 90.00°
Positions (direct):
1 Fe 0.104 0.000 0.131
2 Fe 0.127 0.507 0.632
3 Fe 0.367 0.033 0.875
4 Fe 0.378 0.522 0.376
5 Fe 0.622 0.022 0.624
6 Fe 0.633 0.533 0.125
7 Fe 0.873 0.007 0.368
8 Fe 0.896 0.500 0.869
9 O 0.138 0.328 0.809
10 O 0.862 0.828 0.191
11 F 0.095 0.813 0.961
12 F 0.105 0.719 0.454
13 F 0.159 0.221 0.290
14 F 0.348 0.728 0.199
15 F 0.348 0.824 0.700
16 F 0.386 0.212 0.062
17 F 0.400 0.319 0.549
18 F 0.600 0.819 0.451
19 F 0.614 0.712 0.938
20 F 0.652 0.228 0.801
21 F 0.652 0.324 0.300
22 F 0.841 0.721 0.710
23 F 0.895 0.219 0.546
24 F 0.905 0.313 0.039

Values from the calculation:
**Excess energy over the best structure of this formula in the dataset**: 0.003 eV/atom
**Symmetry**: P2_1
**Uncorrected energy**: -5.690 eV per atom

***

This record from the Materials Project describes a relaxed structure of Fe2O2F5. The functional is PBE with a Hubbard U.

a = 7.406 Å, b = 7.406 Å, c = 7.406 Å
α = 117.78°, β = 79.67°, γ = 135.50°
Positions (direct):
1 Fe 0.000 0.000 0.000
2 Fe 0.500 0.000 0.000
3 Fe 0.500 0.000 0.500
4 Fe 0.500 0.500 0.500
5 O 0.050 0.585 0.465
6 O 0.380 0.415 0.965
7 O 0.620 0.585 0.035
8 O 0.950 0.415 0.535
9 F 0.151 0.206 0.308
10 F 0.151 0.843 0.945
11 F 0.389 0.639 0.750
12 F 0.398 0.206 0.555
13 F 0.398 0.843 0.192
14 F 0.602 0.157 0.808
15 F 0.602 0.794 0.445
16 F 0.611 0.361 0.250
17 F 0.849 0.157 0.055
18 F 0.849 0.794 0.692

Values from the calculation:
**Excess energy over the best structure of this formula in the dataset**: 0.000 eV/atom
**Symmetry**: Imma
**Uncorrected energy**: -5.201 eV per atom

***

This record from the Materials Project describes a relaxed structure of Fe2O3F. The functional is PBE with a Hubbard U.

a = 4.687 Å, b = 3.000 Å, c = 9.409 Å
α = 90.00°, β = 90.01°, γ = 90.00°
Positions (direct):
1 Fe 0.000 0.000 0.000
2 Fe 0.068 0.000 0.495
3 Fe 0.501 0.500 0.759
4 Fe 0.568 0.500 0.264
5 O 0.195 0.500 0.908
6 O 0.250 0.500 0.403
7 O 0.343 0.000 0.655
8 O 0.696 0.000 0.851
9 O 0.751 0.000 0.357
10 O 0.841 0.500 0.103
11 F 0.347 0.000 0.157
12 F 0.848 0.500 0.602

Values from the calculation:
**Excess energy over the best structure of this formula in the dataset**: 0.016 eV/atom
**Symmetry**: Pm
**Uncorrected energy**: -6.101 eV per atom

***

This record from the Materials Project describes a relaxed structure of Fe3O2F4. The functional is PBE with a Hubbard U.

a = 4.745 Å, b = 4.745 Å, c = 9.419 Å
α = 90.00°, β = 90.00°, γ = 90.00°
Positions (direct):
1 Fe 0.000 0.000 0.000
2 Fe 0.000 0.000 0.357
3 Fe 0.000 0.000 0.643
4 Fe 0.500 0.500 0.143
5 Fe 0.500 0.500 0.500
6 Fe 0.500 0.500 0.857
7 O 0.214 0.214 0.500
8 O 0.286 0.714 0.000
9 O 0.714 0.286 0.000
10 O 0.786 0.786 0.500
11 F 0.194 0.194 0.172
12 F 0.194 0.194 0.828
13 F 0.306 0.694 0.328
14 F 0.306 0.694 0.672
15 F 0.694 0.306 0.328
16 F 0.694 0.306 0.672
17 F 0.806 0.806 0.172
18 F 0.806 0.806 0.828

Values from the calculation:
**Excess energy over the best structure of this formula in the dataset**: 0.021 eV/atom
**Symmetry**: P4_2/mnm
**Uncorrected energy**: -5.840 eV per atom

***

This record from the Materials Project describes a relaxed structure of Fe3O2F4. The functional is PBE with a Hubbard U.

a = 9.377 Å, b = 4.802 Å, c = 4.824 Å
α = 90.00°, β = 90.00°, γ = 90.00°
Positions (direct):
1 Fe 0.000 0.232 0.000
2 Fe 0.177 0.781 0.544
3 Fe 0.323 0.219 0.044
4 Fe 0.500 0.768 0.500
5 Fe 0.677 0.219 0.044
6 Fe 0.823 0.781 0.544
7 O 0.165 0.057 0.836
8 O 0.335 0.943 0.336
9 O 0.665 0.943 0.336
10 O 0.835 0.057 0.836
11 F 0.000 0.561 0.719
12 F 0.000 0.947 0.335
13 F 0.164 0.453 0.235
14 F 0.336 0.547 0.735
15 F 0.500 0.053 0.835
16 F 0.500 0.439 0.219
17 F 0.664 0.547 0.735
18 F 0.836 0.453 0.235

Values from the calculation:
**Excess energy over the best structure of this formula in the dataset**: 0.046 eV/atom
**Symmetry**: Pmn2_1
**Uncorrected energy**: -5.815 eV per atom

***

Number 1: formation enthalpy at 0 K -58.89 eV per formula unit. Number 2: formation enthalpy at 0 K -17.51 eV per formula unit. Number 3: formation enthalpy at 0 K -13.65 eV per formula unit. Number 4: formation enthalpy at 0 K -34.06 eV per formula unit. Number 5: formation enthalpy at 0 K -13.76 eV per formula unit. Number 6: formation enthalpy at 0 K -19.49 eV per formula unit. Number 7: formation enthalpy at 0 K -17.50 eV per formula unit. Number 8: formation enthalpy at 0 K -28.99 eV per formula unit. Number 9: formation enthalpy at 0 K -17.54 eV per formula unit. Number 10: formation enthalpy at 0 K -9.95 eV per formula unit. Number 11: formation enthalpy at 0 K -19.58 eV per formula unit. Number 12: formation enthalpy at 0 K -19.36 eV per formula unit.